No. 1
Below is a relaxed structure of Li4ZnP2S8, with properties calculated at the PBE-GGA level.

The structure in POSCAR format:
```
Li4ZnP2S8
1.0
-4.6747 6.4359 5.1049
0.3561 -3.4099 4.6251
19.9219 9.8906 5.7735
Li Zn P S
16 4 8 32
direct
0.7518 0.2527 0.8166
0.2518 0.7473 0.1834
0.2520 0.7500 0.9378
0.7520 0.2500 0.0622
0.0065 0.7495 0.8116
0.5065 0.2505 0.1884
0.4995 0.2508 0.9375
0.9995 0.7492 0.0625
0.4965 0.7523 0.8108
0.0028 0.2522 0.9364
0.4970 0.7529 0.5615
0.0040 0.2513 0.6860
0.5040 0.7487 0.3140
0.9970 0.2471 0.4385
0.5028 0.7478 0.0636
0.9965 0.2477 0.1892
0.4929 0.2525 0.6869
0.5002 0.2502 0.4374
0.0002 0.7498 0.5626
0.9929 0.7475 0.3131
0.2495 0.2415 0.8127
0.7502 0.7508 0.9371
0.2495 0.2506 0.5621
0.7492 0.7401 0.6872
0.2492 0.2599 0.3128
0.7495 0.7494 0.4379
0.2502 0.2492 0.0629
0.7495 0.7585 0.1873
0.1304 0.0414 0.7601
0.6268 0.5432 0.8845
0.1357 0.0262 0.5099
0.6285 0.5298 0.6345
0.1311 0.0296 0.2610
0.6381 0.5242 0.3854
0.1284 0.0405 0.0102
0.6357 0.5352 0.1347
0.3617 0.0391 0.6180
0.8663 0.5360 0.7416
0.3635 0.0464 0.3675
0.8633 0.5404 0.4941
0.3734 0.0415 0.1157
0.8708 0.5438 0.2407
0.3721 0.0347 0.8661
0.8725 0.5400 0.9891
0.1357 0.4648 0.8653
0.6284 0.9595 0.9898
0.1381 0.4758 0.6146
0.6311 0.9704 0.7390
0.1285 0.4702 0.3655
0.6357 0.9738 0.4901
0.1268 0.4568 0.1155
0.6304 0.9586 0.2399
0.3708 0.4562 0.7593
0.8734 0.9585 0.8843
0.3633 0.4596 0.5059
0.8635 0.9536 0.6325
0.3663 0.4640 0.2584
0.8617 0.9609 0.3820
0.3725 0.4600 0.0109
0.8721 0.9653 0.1339
```

Output
Formation energy   -15.951 eV per formula unit
Space group   P2_1
Raw total energy   -258.96 eV/cell
Energy relative to the lowest polymorph listed for this composition   0.0 meV/atom



No. 2
Below is a relaxed structure of Li10ZnP4S16, with properties calculated at the PBE-GGA level.

The structure in POSCAR format:
```
Li10ZnP4S16
1.0
6.1618 0.0000 0.0000
0.0132 7.7779 0.0000
0.0208 0.0994 13.0584
Li Zn P S
10 1 4 16
direct
0.9992 0.7478 0.8412
0.5070 0.7498 0.6593
0.4933 0.7386 0.1587
0.4934 0.2592 0.6569
0.5001 0.2514 0.1660
0.9928 0.2337 0.8410
0.4871 0.9958 0.9282
0.4892 0.0378 0.4212
0.9942 0.4869 0.5617
0.9880 0.4767 0.0800
0.9916 0.7647 0.3465
0.0041 0.9952 0.5859
0.9988 0.9996 0.0956
0.5002 0.4942 0.9109
0.4911 0.5134 0.4077
0.8869 0.9881 0.9470
0.9004 0.0166 0.4348
0.3378 0.0016 0.5920
0.3330 0.9978 0.0975
0.8998 0.7737 0.6571
0.8922 0.7712 0.1686
0.3937 0.7144 0.8377
0.3824 0.7444 0.3396
0.8345 0.4911 0.9078
0.8283 0.5002 0.3902
0.3967 0.5114 0.5586
0.3890 0.4923 0.0593
0.3883 0.2785 0.8370
0.3535 0.3126 0.3371
0.8873 0.2112 0.6580
0.8915 0.2036 0.1750
```

Output
Formation energy   -34.846 eV per formula unit
Space group   P1
Raw total energy   -134.98 eV/cell
Energy relative to the lowest polymorph listed for this composition   0.3 meV/atom